# Li2CoNi3O8

A relaxed Li2CoNi3O8 crystal (GGA+U, the Materials Project database).

The structure in CIF format:
```
data_Li2CoNi3O8
_symmetry_space_group_name_H-M 'P 1'
_symmetry_Int_Tables_number 1
_symmetry_space_group_name_Hall 'P 1'
_cell_length_a 5.6861
_cell_length_b 5.6861
_cell_length_c 5.6861
_cell_angle_alpha 60.40
_cell_angle_beta 60.40
_cell_angle_gamma 60.40
loop_
_atom_site_label
_atom_site_type_symbol
_atom_site_fract_x
_atom_site_fract_y
_atom_site_fract_z
_atom_site_occupancy
Li1 Li 0.8755 0.8755 0.8755 1
Li2 Li 0.1245 0.1245 0.1245 1
Co1 Co 0.5000 0.5000 0.5000 1
Ni1 Ni 0.5000 0.0000 0.5000 1
Ni2 Ni 0.0000 0.5000 0.5000 1
Ni3 Ni 0.5000 0.5000 0.0000 1
O1 O 0.2898 0.7354 0.7354 1
O2 O 0.7354 0.2898 0.7354 1
O3 O 0.2625 0.2625 0.2625 1
O4 O 0.7354 0.7354 0.2898 1
O5 O 0.2646 0.2646 0.7102 1
O6 O 0.7375 0.7375 0.7375 1
O7 O 0.2646 0.7102 0.2646 1
O8 O 0.7102 0.2646 0.2646 1
```

## Properties
As for the distance to the lowest polymorph of the same formula: 10 meV/atom. The formation energy comes out at -1.282 eV/atom.